Record 1
{"formula": "Mg30BCO32", "functional": "GGA-PBE", "state": "relaxed", "cell": [[8.542, 0.000, 0.000], [0.000, 8.542, 0.000], [0.000, 0.000, 8.443]], "species": ["Mg", "Mg", "Mg", "Mg", "Mg", "Mg", "Mg", "Mg", "Mg", "Mg", "Mg", "Mg", "Mg", "Mg", "Mg", "Mg", "Mg", "Mg", "Mg", "Mg", "Mg", "Mg", "Mg", "Mg", "Mg", "Mg", "Mg", "Mg", "Mg", "Mg", "B", "C", "O", "O", "O", "O", "O", "O", "O", "O", "O", "O", "O", "O", "O", "O", "O", "O", "O", "O", "O", "O", "O", "O", "O", "O", "O", "O", "O", "O", "O", "O", "O", "O"], "frac_coords": [[0.000, 0.000, 0.000], [0.000, 0.000, 0.500], [0.000, 0.250, 0.250], [0.000, 0.250, 0.750], [0.000, 0.500, 0.000], [0.000, 0.500, 0.500], [0.000, 0.750, 0.250], [0.000, 0.750, 0.750], [0.248, 0.500, 0.246], [0.248, 0.500, 0.754], [0.250, 0.000, 0.250], [0.250, 0.000, 0.750], [0.252, 0.252, 0.000], [0.252, 0.748, 0.000], [0.253, 0.253, 0.500], [0.253, 0.747, 0.500], [0.500, 0.000, 0.000], [0.500, 0.000, 0.500], [0.500, 0.248, 0.246], [0.500, 0.248, 0.754], [0.500, 0.752, 0.246], [0.500, 0.752, 0.754], [0.747, 0.253, 0.500], [0.747, 0.747, 0.500], [0.748, 0.252, 0.000], [0.748, 0.748, 0.000], [0.750, 0.000, 0.250], [0.750, 0.000, 0.750], [0.752, 0.500, 0.246], [0.752, 0.500, 0.754], [0.500, 0.500, 0.000], [0.500, 0.500, 0.500], [0.000, 0.000, 0.251], [0.000, 0.000, 0.749], [0.000, 0.248, 0.000], [0.000, 0.250, 0.500], [0.000, 0.500, 0.253], [0.000, 0.500, 0.747], [0.000, 0.750, 0.500], [0.000, 0.752, 0.000], [0.237, 0.500, 0.000], [0.248, 0.000, 0.000], [0.250, 0.000, 0.500], [0.250, 0.500, 0.500], [0.253, 0.253, 0.251], [0.253, 0.253, 0.749], [0.253, 0.747, 0.251], [0.253, 0.747, 0.749], [0.500, 0.000, 0.253], [0.500, 0.000, 0.747], [0.500, 0.237, 0.000], [0.500, 0.250, 0.500], [0.500, 0.500, 0.162], [0.500, 0.500, 0.838], [0.500, 0.750, 0.500], [0.500, 0.763, 0.000], [0.747, 0.253, 0.251], [0.747, 0.253, 0.749], [0.747, 0.747, 0.251], [0.747, 0.747, 0.749], [0.750, 0.000, 0.500], [0.750, 0.500, 0.500], [0.752, 0.000, 0.000], [0.763, 0.500, 0.000]], "crystal_system": "tetragonal", "e_tot_ev_per_atom": -5.9686, "m_tot_mub_per_cell": 1.0}



Record 2
{"formula": "Mg6BCO8", "functional": "GGA-PBE", "state": "relaxed", "cell": [[4.236, 0.000, 0.000], [0.000, 4.236, 0.000], [0.000, 0.000, 8.315]], "species": ["Mg", "Mg", "Mg", "Mg", "Mg", "Mg", "B", "C", "O", "O", "O", "O", "O", "O", "O", "O"], "frac_coords": [[0.000, 0.000, 0.000], [0.000, 0.000, 0.500], [0.000, 0.500, 0.244], [0.000, 0.500, 0.756], [0.500, 0.000, 0.244], [0.500, 0.000, 0.756], [0.500, 0.500, 0.000], [0.500, 0.500, 0.500], [0.000, 0.000, 0.253], [0.000, 0.000, 0.747], [0.000, 0.500, 0.000], [0.000, 0.500, 0.500], [0.500, 0.000, 0.000], [0.500, 0.000, 0.500], [0.500, 0.500, 0.171], [0.500, 0.500, 0.829]], "relative_energy_mev_per_atom": 0.0, "crystal_system": "tetragonal", "e_tot_ev_per_atom": -5.9282, "m_tot_mub_per_cell": 1.0}



Record 3
{"formula": "Mg14BCO16", "functional": "GGA-PBE", "state": "relaxed", "cell": [[4.247, 0.000, 0.000], [0.000, 8.395, 0.000], [0.000, 0.000, 8.578]], "species": ["Mg", "Mg", "Mg", "Mg", "Mg", "Mg", "Mg", "Mg", "Mg", "Mg", "Mg", "Mg", "Mg", "Mg", "B", "C", "O", "O", "O", "O", "O", "O", "O", "O", "O", "O", "O", "O", "O", "O", "O", "O"], "frac_coords": [[0.000, 0.000, 0.000], [0.000, 0.246, 0.250], [0.000, 0.246, 0.750], [0.000, 0.500, 0.000], [0.000, 0.754, 0.250], [0.000, 0.754, 0.750], [0.500, 0.000, 0.253], [0.500, 0.000, 0.747], [0.500, 0.242, 0.500], [0.500, 0.250, 0.000], [0.500, 0.500, 0.256], [0.500, 0.500, 0.744], [0.500, 0.750, 0.000], [0.500, 0.758, 0.500], [0.000, 0.000, 0.500], [0.000, 0.500, 0.500], [0.000, 0.000, 0.238], [0.000, 0.000, 0.762], [0.000, 0.166, 0.500], [0.000, 0.253, 0.000], [0.000, 0.500, 0.251], [0.000, 0.500, 0.749], [0.000, 0.747, 0.000], [0.000, 0.834, 0.500], [0.500, 0.000, 0.000], [0.500, 0.000, 0.500], [0.500, 0.251, 0.256], [0.500, 0.251, 0.744], [0.500, 0.500, 0.000], [0.500, 0.500, 0.500], [0.500, 0.749, 0.256], [0.500, 0.749, 0.744]], "relative_energy_mev_per_atom": 0.0, "crystal_system": "orthorhombic", "e_tot_ev_per_atom": -5.9553, "m_tot_mub_per_cell": 1.0}



Record 4
{"formula": "Mg6BCO8", "functional": "GGA-PBE", "state": "relaxed", "cell": [[4.183, 0.000, 0.000], [0.000, 4.183, 0.000], [0.000, 0.000, 8.407]], "species": ["Mg", "Mg", "Mg", "Mg", "Mg", "Mg", "B", "C", "O", "O", "O", "O", "O", "O", "O", "O"], "frac_coords": [[0.000, 0.000, 0.000], [0.000, 0.500, 0.261], [0.000, 0.500, 0.739], [0.500, 0.000, 0.261], [0.500, 0.000, 0.739], [0.500, 0.500, 0.000], [0.000, 0.000, 0.500], [0.500, 0.500, 0.500], [0.000, 0.000, 0.269], [0.000, 0.000, 0.731], [0.000, 0.500, 0.000], [0.000, 0.500, 0.500], [0.500, 0.000, 0.000], [0.500, 0.000, 0.500], [0.500, 0.500, 0.248], [0.500, 0.500, 0.752]], "relative_energy_mev_per_atom": 227.0, "crystal_system": "tetragonal", "e_tot_ev_per_atom": -5.7012, "m_tot_mub_per_cell": 0.1}



Record 5
{"formula": "Mg3Si9B36C", "functional": "GGA-PBE", "state": "relaxed", "cell": [[5.053, 2.917, 5.477], [-5.053, 2.917, 5.477], [0.000, -5.834, 5.477]], "species": ["Mg", "Mg", "Mg", "Si", "Si", "Si", "Si", "Si", "Si", "Si", "Si", "Si", "B", "B", "B", "B", "B", "B", "B", "B", "B", "B", "B", "B", "B", "B", "B", "B", "B", "B", "B", "B", "B", "B", "B", "B", "B", "B", "B", "B", "B", "B", "B", "B", "B", "B", "B", "B", "C"], "frac_coords": [[0.000, 0.500, 0.500], [0.500, 0.000, 0.500], [0.500, 0.500, 0.000], [0.262, 0.262, 0.656], [0.262, 0.656, 0.262], [0.344, 0.739, 0.739], [0.430, 0.430, 0.430], [0.573, 0.573, 0.573], [0.656, 0.262, 0.262], [0.739, 0.344, 0.739], [0.739, 0.739, 0.344], [0.957, 0.957, 0.957], [0.019, 0.019, 0.277], [0.019, 0.277, 0.019], [0.023, 0.204, 0.374], [0.023, 0.374, 0.204], [0.110, 0.412, 0.827], [0.110, 0.827, 0.412], [0.126, 0.126, 0.557], [0.126, 0.557, 0.126], [0.179, 0.581, 0.893], [0.179, 0.893, 0.581], [0.204, 0.023, 0.374], [0.204, 0.374, 0.023], [0.277, 0.019, 0.019], [0.374, 0.023, 0.204], [0.374, 0.204, 0.023], [0.412, 0.110, 0.827], [0.412, 0.827, 0.110], [0.435, 0.879, 0.879], [0.557, 0.126, 0.126], [0.581, 0.179, 0.893], [0.581, 0.893, 0.179], [0.625, 0.801, 0.981], [0.625, 0.981, 0.801], [0.705, 0.995, 0.995], [0.801, 0.625, 0.981], [0.801, 0.981, 0.625], [0.827, 0.110, 0.412], [0.827, 0.412, 0.110], [0.879, 0.435, 0.879], [0.879, 0.879, 0.435], [0.893, 0.179, 0.581], [0.893, 0.581, 0.179], [0.981, 0.625, 0.801], [0.981, 0.801, 0.625], [0.995, 0.705, 0.995], [0.995, 0.995, 0.705], [0.068, 0.068, 0.068]], "crystal_system": "trigonal", "e_tot_ev_per_atom": -6.3074, "m_tot_mub_per_cell": 0.0}



Record 6
{"formula": "BMoC", "functional": "GGA-PBE", "state": "relaxed", "cell": [[2.830, 0.000, 0.000], [-1.415, 2.451, 0.000], [0.000, 0.000, 7.544]], "species": ["B", "B", "Mo", "Mo", "C", "C"], "frac_coords": [[0.333, 0.667, 0.250], [0.667, 0.333, 0.750], [0.000, 0.000, 0.000], [0.000, 0.000, 0.500], [0.333, 0.667, 0.750], [0.667, 0.333, 0.250]], "crystal_system": "hexagonal", "e_tot_ev_per_atom": -8.5069, "m_tot_mub_per_cell": 0.0}



- What is the formula in the sixth record?
  BMoC